## Ga4Cu9 (r²SCAN)

Data for a relaxed Ga4Cu9 crystal.

Lattice parameters (Å, degrees): 8.6492 8.6492 8.6492 90.00 90.00 90.00
Atoms (fractional coordinates):
Cu  0.0290  0.3170  0.3170
Cu  0.6734  0.3266  0.6734
Cu  0.5000  0.5000  0.1454
Cu  0.3170  0.6830  0.9710
Cu  0.8294  0.1706  0.1706
Cu  0.0000  0.3549  0.0000
Cu  0.3549  0.0000  0.0000
Cu  0.6830  0.0290  0.6830
Cu  0.0290  0.6830  0.6830
Cu  0.1706  0.8294  0.1706
Cu  0.6046  0.6046  0.6046
Cu  0.3954  0.3954  0.6046
Cu  0.0000  0.6451  0.0000
Cu  0.6046  0.3954  0.3954
Cu  0.8546  0.5000  0.5000
Cu  0.5000  0.1454  0.5000
Cu  0.3954  0.6046  0.3954
Cu  0.5000  0.5000  0.8546
Cu  0.3266  0.3266  0.3266
Cu  0.6451  0.0000  0.0000
Cu  0.1706  0.1706  0.8294
Cu  0.3170  0.3170  0.0290
Cu  0.9710  0.3170  0.6830
Cu  0.0000  0.0000  0.6451
Cu  0.6830  0.6830  0.0290
Cu  0.0000  0.0000  0.3549
Cu  0.6830  0.9710  0.3170
Cu  0.1454  0.5000  0.5000
Cu  0.3170  0.0290  0.3170
Cu  0.8294  0.8294  0.8294
Cu  0.6830  0.3170  0.9710
Cu  0.5000  0.8546  0.5000
Cu  0.3170  0.9710  0.6830
Cu  0.3266  0.6734  0.6734
Cu  0.6734  0.6734  0.3266
Cu  0.9710  0.6830  0.3170
Ga  0.8769  0.1231  0.8769
Ga  0.1908  0.4666  0.8092
Ga  0.8092  0.4666  0.1908
Ga  0.5334  0.8092  0.8092
Ga  0.8769  0.8769  0.1231
Ga  0.1231  0.8769  0.8769
Ga  0.4666  0.8092  0.1908
Ga  0.8092  0.1908  0.4666
Ga  0.8092  0.5334  0.8092
Ga  0.5334  0.1908  0.1908
Ga  0.1908  0.8092  0.4666
Ga  0.4666  0.1908  0.8092
Ga  0.1908  0.5334  0.1908
Ga  0.1908  0.1908  0.5334
Ga  0.1231  0.1231  0.1231
Ga  0.8092  0.8092  0.5334

Calculated values
Symmetry: No. 215
DFT formation energy, eV per atom: -0.1199